(1)
# MgSbRhO4

A relaxed structure of MgSbRhO4 (PBE, Materials Project).

a b c (Å): 3.146 5.091 5.679
angles (deg): 97.82 90.00 90.00
Fractional coordinates of all 7 atoms:
O  0.050  0.307  0.307
Sb  0.823  0.000  0.000
O  0.590  0.812  0.293
Rh  0.565  0.500  0.500
Mg  0.103  0.000  0.500
O  0.050  0.693  0.693
O  0.590  0.188  0.707

Values from the calculation:
* E above lowest polymorph: 34 kJ/mol of formula units
* ΔE_f: -157 kJ/mol of atoms
* calculated volume: 12.9 A^3/atom

***

(2)
# MgSb2Rh2O8

A relaxed structure of MgSb2Rh2O8 (PBE, Materials Project).

a b c (Å): 5.899 6.049 5.899
angles (deg): 75.96 114.68 71.01
Fractional coordinates of all 13 atoms:
O  0.951  0.725  0.323
Sb  0.920  0.071  0.009
Sb  0.241  0.458  0.300
O  0.538  0.726  0.736
Mg  0.260  0.030  0.710
O  0.468  0.260  0.736
Rh  0.773  0.675  0.552
O  0.004  0.260  0.271
O  0.973  0.287  0.740
O  0.096  0.664  0.867
O  0.527  0.172  0.300
Rh  0.529  0.457  0.015
O  0.468  0.664  0.240

Values from the calculation:
* E above lowest polymorph: 132 kJ/mol of formula units
* ΔE_f: -144 kJ/mol of atoms
* calculated volume: 12.5 A^3/atom

***

(3)
# MgSb2Rh2O8

A relaxed structure of MgSb2Rh2O8 (PBE, Materials Project).

a b c (Å): 5.861 5.914 6.020
angles (deg): 73.43 107.14 65.07
Fractional coordinates of all 13 atoms:
Sb  0.952  0.965  0.990
Rh  0.742  0.757  0.493
O  0.070  0.688  0.837
O  0.966  0.325  0.655
O  0.436  0.809  0.170
Sb  0.236  0.257  0.497
O  0.509  0.209  0.333
O  0.495  0.827  0.689
O  0.498  0.256  0.825
O  0.008  0.691  0.331
Mg  0.238  0.258  0.000
O  0.963  0.295  0.171
Rh  0.507  0.542  0.996

Values from the calculation:
* E above lowest polymorph: 0 kJ/mol of formula units
* ΔE_f: -154 kJ/mol of atoms
* calculated volume: 12.3 A^3/atom

***

(4)
# MgSbRhO4

A relaxed structure of MgSbRhO4 (PBE, Materials Project).

a b c (Å): 3.202 5.073 6.405
angles (deg): 69.42 90.00 90.00
Fractional coordinates of all 7 atoms:
O  0.000  0.352  0.352
Mg  0.000  0.014  0.641
Sb  0.000  0.200  0.085
O  0.500  0.929  0.235
O  0.000  0.637  0.637
O  0.500  0.140  0.755
Rh  0.500  0.521  0.490

Values from the calculation:
* E above lowest polymorph: 0 kJ/mol of formula units
* ΔE_f: -162 kJ/mol of atoms
* calculated volume: 13.9 A^3/atom

***

(5)
# MgSbRhO4

A relaxed structure of MgSbRhO4 (PBE, Materials Project).

a b c (Å): 3.155 5.553 5.553
angles (deg): 72.18 90.00 90.00
Fractional coordinates of all 7 atoms:
Sb  0.000  0.906  0.907
Rh  0.500  0.521  0.519
O  0.500  0.213  0.838
O  0.000  0.349  0.342
O  0.000  0.661  0.663
Mg  0.500  0.216  0.211
O  0.500  0.842  0.214

Values from the calculation:
* E above lowest polymorph: 66 kJ/mol of formula units
* ΔE_f: -153 kJ/mol of atoms
* calculated volume: 13.2 A^3/atom

***

(6)
# MgRuO3

A relaxed structure of MgRuO3 (PBE, Materials Project).

a b c (Å): 3.883 3.883 3.883
angles (deg): 90.00 90.00 90.00
Fractional coordinates of all 5 atoms:
O  0.500  0.000  0.500
Mg  0.000  0.000  0.000
O  0.000  0.500  0.500
Ru  0.500  0.500  0.500
O  0.500  0.500  0.000

Values from the calculation:
* ΔE_f: -141 kJ/mol of atoms
* calculated volume: 11.7 A^3/atom

***

(7)
# MgRu2O8

A relaxed structure of MgRu2O8 (PBE, Materials Project).

a b c (Å): 5.667 5.770 8.146
angles (deg): 74.91 71.78 64.26
Fractional coordinates of all 11 atoms:
O  0.938  0.337  0.567
Mg  0.000  0.572  0.696
O  0.042  0.792  0.449
O  0.811  0.903  0.802
Ru  0.706  0.245  0.751
O  0.146  0.699  0.103
O  0.378  0.412  0.712
O  0.344  0.031  0.166
O  0.766  0.392  0.894
Ru  0.275  0.755  0.246
O  0.565  0.495  0.279

Values from the calculation:
* E above lowest polymorph: 4 kJ/mol of formula units
* ΔE_f: -142 kJ/mol of atoms
* calculated volume: 20.5 A^3/atom

***

(8)
# MgRu2O8

A relaxed structure of MgRu2O8 (PBE, Materials Project).

a b c (Å): 5.279 5.907 8.575
angles (deg): 75.59 69.11 60.86
Fractional coordinates of all 11 atoms:
O  0.878  0.840  0.403
Ru  0.226  0.752  0.245
O  0.191  0.691  0.070
O  0.624  0.023  0.769
O  0.820  0.248  0.946
O  0.529  0.564  0.688
O  0.123  0.150  0.599
Mg  0.536  0.903  0.608
O  0.499  0.477  0.318
Ru  0.769  0.244  0.760
O  0.331  0.000  0.195

Values from the calculation:
* E above lowest polymorph: 0 kJ/mol of formula units
* ΔE_f: -143 kJ/mol of atoms
* calculated volume: 19.8 A^3/atom

***

(9)
# SrMgRu2O6

A relaxed structure of SrMgRu2O6 (PBE, Materials Project).

a b c (Å): 5.473 5.473 5.472
angles (deg): 91.06 120.77 118.03
Fractional coordinates of all 10 atoms:
Mg  0.953  0.250  0.203
O  0.347  0.250  0.597
O  0.548  0.839  0.837
Sr  0.011  0.750  0.761
O  0.998  0.289  0.837
O  0.580  0.750  0.330
O  0.548  0.211  0.209
Ru  0.493  0.001  0.494
O  0.998  0.661  0.210
Ru  0.493  0.499  0.992

Values from the calculation:
* E above lowest polymorph: 13 kJ/mol of formula units
* ΔE_f: -196 kJ/mol of atoms
* calculated volume: 11.7 A^3/atom

***

(10)
# SrMgRu2O6

A relaxed structure of SrMgRu2O6 (PBE, Materials Project).

a b c (Å): 5.477 5.617 5.320
angles (deg): 73.26 98.50 120.85
Fractional coordinates of all 10 atoms:
O  0.679  0.064  0.337
Ru  0.350  0.696  0.513
Sr  0.000  0.959  0.765
Ru  0.650  0.345  0.513
O  0.561  0.515  0.737
O  0.321  0.386  0.337
O  0.000  0.666  0.274
O  0.439  0.953  0.737
Mg  0.000  0.376  0.117
O  0.000  0.390  0.747

Values from the calculation:
* E above lowest polymorph: 106 kJ/mol of formula units
* ΔE_f: -187 kJ/mol of atoms
* calculated volume: 13.5 A^3/atom

***

(11)
# SrMgRu2O6

A relaxed structure of SrMgRu2O6 (PBE, Materials Project).

a b c (Å): 5.160 5.206 6.058
angles (deg): 90.72 89.64 120.30
Fractional coordinates of all 10 atoms:
O  0.665  0.663  0.681
Ru  0.327  0.664  0.500
Sr  0.000  0.000  0.000
O  0.335  0.999  0.681
O  0.000  0.333  0.687
O  0.335  0.337  0.319
O  0.000  0.667  0.313
O  0.665  0.001  0.319
Ru  0.673  0.336  0.500
Mg  0.000  0.000  0.500

Values from the calculation:
* E above lowest polymorph: 0 kJ/mol of formula units
* ΔE_f: -197 kJ/mol of atoms
* calculated volume: 14.1 A^3/atom

***

(12)
# Sr2MgRu3O10

A relaxed structure of Sr2MgRu3O10 (PBE, Materials Project).

a b c (Å): 5.653 6.668 6.731
angles (deg): 102.22 93.77 120.93
Fractional coordinates of all 16 atoms:
O  0.249  0.028  0.216
O  0.820  0.712  0.423
O  0.816  0.639  0.926
Sr  0.290  0.689  0.922
O  0.360  0.785  0.434
Ru  0.226  0.999  0.504
O  0.707  0.904  0.757
O  0.658  0.243  0.553
O  0.738  0.988  0.190
Mg  0.636  0.543  0.636
O  0.265  0.020  0.812
O  0.188  0.284  0.577
Sr  0.700  0.351  0.132
Ru  0.776  0.005  0.491
Ru  0.999  0.012  0.002
O  0.130  0.340  0.046

Values from the calculation:
* E above lowest polymorph: 0 kJ/mol of formula units
* ΔE_f: -199 kJ/mol of atoms
* calculated volume: 13.0 A^3/atom

***

(13)
# SrMgRu2O6

A relaxed structure of SrMgRu2O6 (PBE, Materials Project).

a b c (Å): 5.411 5.418 5.117
angles (deg): 89.94 90.03 120.04
Fractional coordinates of all 10 atoms:
Sr  0.999  0.999  0.000
O  0.604  0.611  0.725
Mg  0.331  0.665  0.000
Ru  0.333  0.667  0.500
Ru  0.666  0.333  0.500
O  0.387  0.395  0.274
O  0.007  0.394  0.725
O  0.604  0.993  0.275
O  0.007  0.612  0.275
O  0.387  0.992  0.726

Values from the calculation:
* E above lowest polymorph: 98 kJ/mol of formula units
* ΔE_f: -188 kJ/mol of atoms
* calculated volume: 13.0 A^3/atom

***

(14)
# Sr2MgRu3O10

A relaxed structure of Sr2MgRu3O10 (PBE, Materials Project).

a b c (Å): 5.700 6.870 6.763
angles (deg): 98.70 90.23 125.69
Fractional coordinates of all 16 atoms:
O  0.231  0.001  0.785
Ru  0.235  0.014  0.498
O  0.286  0.087  0.224
Ru  0.776  0.993  0.515
Mg  0.538  0.626  0.179
O  0.810  0.719  0.436
O  0.331  0.765  0.445
Sr  0.827  0.374  0.226
O  0.172  0.364  0.028
O  0.180  0.277  0.561
Ru  0.016  0.007  0.996
Sr  0.154  0.596  0.772
O  0.675  0.230  0.551
O  0.738  0.978  0.199
O  0.716  0.935  0.791
O  0.838  0.659  0.002

Values from the calculation:
* E above lowest polymorph: 12 kJ/mol of formula units
* ΔE_f: -198 kJ/mol of atoms
* calculated volume: 13.2 A^3/atom

***

(15)
# Sr4Tb2MgRu2O12

A relaxed structure of Sr4Tb2MgRu2O12 (PBE, Materials Project).

a b c (Å): 5.916 6.000 8.438
angles (deg): 91.16 93.56 89.42
Fractional coordinates of all 21 atoms:
O  0.434  0.530  0.726
O  0.058  0.004  0.765
Sr  0.993  0.555  0.226
Mg  0.167  0.592  0.579
O  0.848  0.673  0.537
Ru  0.980  0.991  0.001
Tb  0.462  0.500  0.999
Ru  0.547  0.500  0.485
O  0.774  0.722  0.967
O  0.334  0.803  0.460
Sr  0.484  0.045  0.238
O  0.237  0.326  0.446
O  0.585  0.480  0.258
Sr  0.903  0.409  0.801
Tb  0.014  0.036  0.489
O  0.706  0.221  0.546
O  0.247  0.791  0.045
O  0.692  0.190  0.966
O  0.172  0.272  0.037
Sr  0.529  0.948  0.742
O  0.917  0.986  0.234

Values from the calculation:
* E above lowest polymorph: 5 kJ/mol of formula units
* ΔE_f: -263 kJ/mol of atoms
* calculated volume: 14.2 A^3/atom

***

(16)
# Sr4Tb2MgRu2O12

A relaxed structure of Sr4Tb2MgRu2O12 (PBE, Materials Project).

a b c (Å): 6.193 5.890 8.289
angles (deg): 89.48 91.09 93.25
Fractional coordinates of all 21 atoms:
O  0.276  0.891  0.079
Ru  0.992  0.014  0.997
O  0.424  0.529  0.737
O  0.949  0.036  0.246
O  0.505  0.431  0.255
O  0.295  0.782  0.460
O  0.206  0.306  0.468
Tb  0.970  0.018  0.520
Tb  0.525  0.449  0.984
Sr  0.041  0.599  0.248
Sr  0.588  0.870  0.253
Sr  0.475  0.955  0.728
Mg  0.249  0.179  0.238
O  0.758  0.699  0.511
O  0.164  0.329  0.024
O  0.073  0.967  0.770
O  0.799  0.713  0.000
Sr  0.003  0.505  0.760
Ru  0.485  0.489  0.501
O  0.680  0.227  0.544
O  0.729  0.178  0.934

Values from the calculation:
* E above lowest polymorph: 54 kJ/mol of formula units
* ΔE_f: -261 kJ/mol of atoms
* calculated volume: 14.4 A^3/atom

***

(17)
# Sr4Tb2MgRu2O12

A relaxed structure of Sr4Tb2MgRu2O12 (PBE, Materials Project).

a b c (Å): 5.746 6.075 8.618
angles (deg): 85.68 90.99 89.82
Fractional coordinates of all 21 atoms:
Tb  0.000  0.919  0.477
O  0.309  0.713  0.427
O  0.235  0.237  0.446
O  0.216  0.773  0.047
O  0.785  0.304  0.948
Ru  0.992  0.035  0.001
O  0.589  0.455  0.259
O  0.924  0.015  0.231
O  0.252  0.247  0.032
O  0.348  0.460  0.708
Tb  0.502  0.525  0.016
O  0.060  0.026  0.751
O  0.825  0.601  0.553
Sr  0.498  0.081  0.782
O  0.712  0.180  0.532
O  0.719  0.827  0.976
Sr  0.003  0.632  0.831
Ru  0.504  0.451  0.489
Mg  0.027  0.321  0.616
Sr  0.482  0.011  0.238
Sr  0.017  0.457  0.241

Values from the calculation:
* E above lowest polymorph: 31 kJ/mol of formula units
* ΔE_f: -262 kJ/mol of atoms
* calculated volume: 14.3 A^3/atom

***

(18)
# Sr4Tb2MgRu2O12

A relaxed structure of Sr4Tb2MgRu2O12 (PBE, Materials Project).

a b c (Å): 5.817 6.137 8.369
angles (deg): 87.36 92.20 92.04
Fractional coordinates of all 21 atoms:
Sr  0.987  0.445  0.735
O  0.414  0.513  0.734
O  0.766  0.708  0.550
O  0.297  0.792  0.465
O  0.191  0.270  0.053
O  0.576  0.514  0.251
Sr  0.508  0.924  0.743
Ru  0.022  0.991  0.997
Mg  0.635  0.805  0.131
O  0.313  0.822  0.053
O  0.815  0.693  0.960
O  0.690  0.235  0.544
Tb  0.984  0.002  0.504
Sr  0.065  0.563  0.244
O  0.088  0.022  0.768
O  0.723  0.148  0.955
Ru  0.495  0.517  0.503
Sr  0.452  0.121  0.305
O  0.899  0.957  0.236
Tb  0.517  0.424  0.976
O  0.208  0.316  0.465

Values from the calculation:
* E above lowest polymorph: 0 kJ/mol of formula units
* ΔE_f: -263 kJ/mol of atoms
* calculated volume: 14.2 A^3/atom

***

(19)
# MgSO8

A relaxed structure of MgSO8 (PBE, Materials Project).

a b c (Å): 5.336 5.336 12.440
angles (deg): 55.83 124.17 114.56
Fractional coordinates of all 20 atoms:
O  0.233  0.596  0.666
O  0.679  0.349  0.121
O  0.102  0.125  0.648
O  0.349  0.679  0.379
O  0.232  0.468  0.974
O  0.532  0.768  0.474
O  0.651  0.321  0.621
Mg  0.000  0.000  0.500
O  0.321  0.651  0.879
O  0.596  0.233  0.834
O  0.767  0.404  0.334
S  0.735  0.735  0.250
O  0.875  0.898  0.148
S  0.265  0.265  0.750
O  0.125  0.102  0.852
O  0.768  0.532  0.026
O  0.404  0.767  0.166
Mg  0.000  0.000  0.000
O  0.468  0.232  0.526
O  0.898  0.875  0.352

Values from the calculation:
* E above lowest polymorph: 0 kJ/mol of formula units
* ΔE_f: -108 kJ/mol of atoms
* calculated volume: 12.0 A^3/atom